DFT (PBE) results for a geometry-optimized Cs3Tl2Cl9 structure.

Summary:
symmetry	R-3c

Unit cell a=9.9171 b=9.9171 c=9.9171 alpha=83.83 beta=83.83 gamma=83.83
Fractional coordinates of all 28 atoms:
Cs1 0.7500 0.0843 0.4157
Cs2 0.4157 0.7500 0.0843
Cs3 0.0843 0.4157 0.7500
Cs4 0.2500 0.9157 0.5843
Cs5 0.5843 0.2500 0.9157
Cs6 0.9157 0.5843 0.2500
Tl1 0.6492 0.6492 0.6492
Tl2 0.3508 0.3508 0.3508
Tl3 0.1492 0.1492 0.1492
Tl4 0.8508 0.8508 0.8508
Cl1 0.7500 0.5972 0.9028
Cl2 0.9028 0.7500 0.5972
Cl3 0.5972 0.9028 0.7500
Cl4 0.2500 0.4028 0.0972
Cl5 0.0972 0.2500 0.4028
Cl6 0.4028 0.0972 0.2500
Cl7 0.7611 0.4177 0.5889
Cl8 0.5889 0.7611 0.4177
Cl9 0.4177 0.5889 0.7611
Cl10 0.2389 0.5823 0.4111
Cl11 0.4111 0.2389 0.5823
Cl12 0.5823 0.4111 0.2389
Cl13 0.9177 0.2611 0.0889
Cl14 0.2611 0.0889 0.9177
Cl15 0.0889 0.9177 0.2611
Cl16 0.0823 0.7389 0.9111
Cl17 0.7389 0.9111 0.0823
Cl18 0.9111 0.0823 0.7389


DFT (PBE) results for a geometry-optimized CsTlCl3 structure.

Summary:
size of the total moment	0.00	μB/f.u.
symmetry	P1

Unit cell a=5.5798 b=5.5800 c=5.5801 alpha=89.99 beta=90.00 gamma=89.98
Fractional coordinates of all 5 atoms:
Cs1 0.0010 0.0055 0.0019
Tl1 0.5003 0.5133 0.5029
Cl1 0.0000 0.5151 0.5055
Cl2 0.4969 0.0136 0.4972
Cl3 0.5018 0.5125 0.0025


DFT (PBE) results for a geometry-optimized Cs2TmCl5 structure.

Summary:
symmetry	Pnma

Unit cell a=7.5625 b=9.7626 c=15.4198 alpha=90.00 beta=90.00 gamma=90.00
Fractional coordinates of all 32 atoms:
Cs1 0.2500 0.6642 0.9171
Cs2 0.7500 0.3358 0.0829
Cs3 0.7500 0.8358 0.4171
Cs4 0.2500 0.1642 0.5829
Cs5 0.2500 0.9753 0.2119
Cs6 0.7500 0.0247 0.7881
Cs7 0.7500 0.5247 0.7119
Cs8 0.2500 0.4753 0.2881
Tm1 0.2500 0.6748 0.5637
Tm2 0.7500 0.3252 0.4363
Tm3 0.7500 0.8252 0.0637
Tm4 0.2500 0.1748 0.9363
Cl1 0.2500 0.5218 0.6985
Cl2 0.7500 0.4782 0.3015
Cl3 0.7500 0.9782 0.1985
Cl4 0.2500 0.0218 0.8015
Cl5 0.4995 0.8290 0.6168
Cl6 0.5005 0.1710 0.3832
Cl7 0.5005 0.6710 0.1168
Cl8 0.9995 0.1710 0.3832
Cl9 0.4995 0.3290 0.8832
Cl10 0.0005 0.8290 0.6168
Cl11 0.0005 0.3290 0.8832
Cl12 0.9995 0.6710 0.1168
Cl13 0.2500 0.7846 0.4094
Cl14 0.7500 0.2154 0.5906
Cl15 0.7500 0.7154 0.9094
Cl16 0.2500 0.2846 0.0906
Cl17 0.0000 0.5000 0.5000
Cl18 0.0000 0.0000 0.0000
Cl19 0.5000 0.5000 0.5000
Cl20 0.5000 0.0000 0.0000


DFT (PBE) results for a geometry-optimized Cs2TmCl4 structure.

Summary:
size of the total moment	0.60	μB/f.u.
symmetry	I4/mmm

Unit cell a=5.3206 b=5.3206 c=9.4912 alpha=106.28 beta=106.28 gamma=90.00
Fractional coordinates of all 7 atoms:
Cs1 0.6426 0.6426 0.2852
Cs2 0.3574 0.3574 0.7148
Tm1 0.0000 0.0000 0.0000
Cl1 0.8455 0.8455 0.6910
Cl2 0.1545 0.1545 0.3090
Cl3 0.0000 0.5000 0.0000
Cl4 0.5000 0.0000 0.0000


DFT (PBE) results for a geometry-optimized CsTmCl3 structure.

Summary:
size of the total moment	0.00	μB/f.u.
symmetry	Pm-3m

Unit cell a=5.3122 b=5.3122 c=5.3122 alpha=90.00 beta=90.00 gamma=90.00
Fractional coordinates of all 5 atoms:
Cs1 0.0000 0.0000 0.0000
Tm1 0.5000 0.5000 0.5000
Cl1 0.0000 0.5000 0.5000
Cl2 0.5000 0.5000 0.0000
Cl3 0.5000 0.0000 0.5000


DFT (PBE) results for a geometry-optimized Cs2VCl6 structure.

Summary:
symmetry	Fm-3m

Unit cell a=7.4167 b=7.4167 c=7.4167 alpha=60.00 beta=60.00 gamma=60.00
Fractional coordinates of all 9 atoms:
Cs1 0.2500 0.2500 0.2500
Cs2 0.7500 0.7500 0.7500
V1 0.0000 0.0000 0.0000
Cl1 0.7774 0.2226 0.2226
Cl2 0.2226 0.7774 0.7774
Cl3 0.2226 0.7774 0.2226
Cl4 0.7774 0.2226 0.7774
Cl5 0.2226 0.2226 0.7774
Cl6 0.7774 0.7774 0.2226


DFT (PBE) results for a geometry-optimized CsVCl3 structure.

Summary:
symmetry	P6_3/mmc

Unit cell a=6.2797 b=7.3655 c=7.3655 alpha=60.00 beta=90.00 gamma=90.00
Fractional coordinates of all 10 atoms:
Cs1 0.7500 0.3333 0.3333
Cs2 0.2500 0.6667 0.6667
V1 0.5000 0.0000 0.0000
V2 0.0000 0.0000 0.0000
Cl1 0.2500 0.1524 0.1524
Cl2 0.7500 0.3048 0.8476
Cl3 0.7500 0.8476 0.3048
Cl4 0.2500 0.1524 0.6952
Cl5 0.7500 0.8476 0.8476
Cl6 0.2500 0.6952 0.1524


DFT (PBE) results for a geometry-optimized Cs3V2Cl9 structure.

Summary:
symmetry	P6_3/mmc

Unit cell a=7.4766 b=7.4766 c=18.2330 alpha=90.00 beta=90.00 gamma=120.00
Fractional coordinates of all 28 atoms:
Cs1 0.0000 0.0000 0.2500
Cs2 0.0000 0.0000 0.7500
Cs3 0.3333 0.6667 0.4246
Cs4 0.6667 0.3333 0.5754
Cs5 0.6667 0.3333 0.9246
Cs6 0.3333 0.6667 0.0754
V1 0.3333 0.6667 0.6641
V2 0.6667 0.3333 0.3359
V3 0.6667 0.3333 0.1641
V4 0.3333 0.6667 0.8359
Cl1 0.5189 0.4811 0.2500
Cl2 0.5189 0.0379 0.2500
Cl3 0.9621 0.4811 0.2500
Cl4 0.4811 0.5189 0.7500
Cl5 0.4811 0.9621 0.7500
Cl6 0.0379 0.5189 0.7500
Cl7 0.8174 0.1826 0.4057
Cl8 0.8174 0.6347 0.4057
Cl9 0.3653 0.1826 0.4057
Cl10 0.1826 0.8174 0.5943
Cl11 0.1826 0.3653 0.5943
Cl12 0.6347 0.8174 0.5943
Cl13 0.1826 0.8174 0.9057
Cl14 0.1826 0.3653 0.9057
Cl15 0.6347 0.8174 0.9057
Cl16 0.8174 0.1826 0.0943
Cl17 0.8174 0.6347 0.0943
Cl18 0.3653 0.1826 0.0943


Energy of formation: -1.69, -1.66, -2.58, -2.24, -2.23, -1.98, -1.90, -2.02 (eV per atom)